1.
Below is a relaxed EuCrO3 crystal, with properties calculated at the PBE with a Hubbard U level.

Summary:
Space-group type = Pm-3m (221)

Cell: 3.880 3.880 3.880 Å, 90.00 90.00 90.00°
Atoms (fractional coordinates):
Eu1 0.500 0.500 0.500
Cr1 0.000 0.000 0.000
O1 0.500 0.000 0.000
O2 0.000 0.500 0.000
O3 0.000 0.000 0.500

2.
Below is a relaxed Li6Cr3CuP6O24 crystal, with properties calculated at the PBE with a Hubbard U level.

Summary:
Space-group type = P1 (1)

Cell: 8.509 8.539 8.550 Å, 61.44 61.58 61.60°
Atoms (fractional coordinates):
Li1 0.021 0.999 0.989
Li2 0.756 0.145 0.349
Li3 0.475 0.509 0.500
Li4 0.215 0.850 0.662
Li5 0.666 0.211 0.849
Li6 0.848 0.668 0.210
Cr1 0.140 0.144 0.138
Cr2 0.360 0.362 0.356
Cr3 0.642 0.646 0.645
Cu1 0.854 0.851 0.849
P1 0.050 0.750 0.452
P2 0.451 0.051 0.751
P3 0.750 0.457 0.047
P4 0.254 0.538 0.959
P5 0.541 0.964 0.254
P6 0.956 0.253 0.534
O1 0.119 0.317 0.481
O2 0.330 0.494 0.109
O3 0.041 0.925 0.270
O4 0.523 0.113 0.319
O5 0.244 0.598 0.417
O6 0.035 0.797 0.614
O7 0.262 0.062 0.914
O8 0.436 0.241 0.586
O9 0.598 0.423 0.245
O10 0.200 0.378 0.988
O11 0.083 0.727 0.961
O12 0.366 0.005 0.215
O13 0.614 0.030 0.802
O14 0.908 0.261 0.064
O15 0.804 0.615 0.028
O16 0.401 0.580 0.757
O17 0.577 0.763 0.403
O18 0.726 0.959 0.079
O19 0.965 0.206 0.377
O20 0.758 0.403 0.582
O21 0.491 0.887 0.694
O22 0.961 0.079 0.721
O23 0.692 0.497 0.885
O24 0.884 0.693 0.497

3.
Below is a relaxed Pr2MgNi2O6 crystal, with properties calculated at the PBE with a Hubbard U level.

Summary:
Space-group type = P1 (1)

Cell: 6.234 6.294 6.253 Å, 54.94 55.20 54.87°
Atoms (fractional coordinates):
Pr1 0.689 0.686 0.689
Pr2 0.285 0.285 0.284
Mg1 0.913 0.916 0.914
Ni1 0.489 0.489 0.488
Ni2 0.092 0.085 0.088
O1 0.134 0.715 0.348
O2 0.719 0.346 0.133
O3 0.353 0.131 0.717
O4 0.841 0.269 0.608
O5 0.606 0.843 0.265
O6 0.266 0.610 0.840

4.
Below is a relaxed Li4Mn3Fe3W2O16 crystal, with properties calculated at the PBE with a Hubbard U level.

Summary:
Space-group type = P1 (1)

Cell: 5.962 6.049 9.872 Å, 88.55 89.19 60.51°
Atoms (fractional coordinates):
Li1 0.660 0.677 0.910
Li2 0.996 0.008 0.988
Li3 0.000 0.993 0.485
Li4 0.341 0.329 0.408
Mn1 0.830 0.340 0.211
Mn2 0.662 0.171 0.714
Mn3 0.167 0.175 0.713
Fe1 0.824 0.834 0.216
Fe2 0.337 0.832 0.214
Fe3 0.169 0.661 0.713
W1 0.671 0.665 0.484
W2 0.317 0.356 0.987
O1 0.836 0.810 0.585
O2 0.534 0.957 0.354
O3 0.677 0.659 0.114
O4 0.986 0.012 0.298
O5 0.992 0.012 0.800
O6 0.354 0.813 0.579
O7 0.969 0.527 0.351
O8 0.543 0.501 0.354
O9 0.161 0.656 0.090
O10 0.840 0.329 0.591
O11 0.479 0.486 0.861
O12 0.032 0.485 0.859
O13 0.347 0.317 0.614
O14 0.645 0.163 0.087
O15 0.472 0.050 0.843
O16 0.160 0.181 0.086

Number 1: E -8.863 eV per atom, magnetic moment 9.0 μB/cell. Number 2: E -6.841 eV per atom, magnetic moment 9.0 μB/cell. Number 3: E -6.307 eV per atom, magnetic moment 4.0 μB/cell. Number 4: E -6.843 eV per atom, magnetic moment 25.0 μB/cell.